Entry from the Materials Project database: Zn3SiNi2 after structural relaxation (PBE-GGA).

a = 7.571 Å, b = 7.571 Å, c = 7.571 Å
α = 60.00°, β = 60.00°, γ = 60.00°
Atoms (fractional coordinates):
1 Zn 0.062 0.062 0.688
2 Zn 0.062 0.688 0.062
3 Zn 0.062 0.688 0.688
4 Zn 0.312 0.312 0.938
5 Zn 0.312 0.938 0.312
6 Zn 0.312 0.938 0.938
7 Zn 0.688 0.062 0.062
8 Zn 0.688 0.062 0.688
9 Zn 0.688 0.688 0.062
10 Zn 0.938 0.312 0.312
11 Zn 0.938 0.312 0.938
12 Zn 0.938 0.938 0.312
13 Si 0.000 0.500 0.500
14 Si 0.500 0.000 0.500
15 Si 0.500 0.500 0.000
16 Si 0.500 0.500 0.500
17 Ni 0.289 0.289 0.289
18 Ni 0.289 0.289 0.632
19 Ni 0.289 0.632 0.289
20 Ni 0.368 0.711 0.711
21 Ni 0.632 0.289 0.289
22 Ni 0.711 0.368 0.711
23 Ni 0.711 0.711 0.368
24 Ni 0.711 0.711 0.711

energy of formation from the pure elements	-332	meV/atom
E	-3.79	eV per atom
symmetry	No. 227
mass density	7.40	g cm⁻³